[1]
Here is LaBN2 after structural relaxation from the Materials Project database. Energies are from meta-GGA r2SCAN.

```
LaBN2
1.0
6.617 0.017 0.004
-3.032 6.212 -0.004
-0.081 -2.423 7.426
B N La
6 12 6
Cartesian
3.035 1.745 5.751
-1.781 3.281 4.994
5.285 0.525 2.432
5.273 1.358 0.110
-1.769 2.449 7.316
0.469 2.062 1.675
4.880 -0.675 3.127
-1.197 5.269 1.183
3.628 1.677 7.102
-0.938 2.865 6.149
-0.124 2.130 0.324
3.698 2.430 4.615
-0.194 1.377 2.812
4.442 0.942 1.277
1.802 2.611 1.867
-1.376 4.482 4.299
1.702 1.196 5.559
4.701 -1.462 6.243
1.103 3.468 4.292
-0.691 0.380 5.208
1.180 4.736 0.462
2.401 0.339 3.134
2.324 -0.930 6.964
4.195 3.427 2.218
```

- Energy relative to the elements: -1.606 eV/atom
- SG: P-1, No. 2

---

[2]
Here is La3B2N5 after structural relaxation from the Materials Project database. Energies are from meta-GGA r2SCAN.

```
La3B2N5
1.0
14.792 0.000 0.000
0.000 7.640 -0.001
0.000 0.000 9.686
N La B
40 24 16
Cartesian
9.011 6.961 5.099
11.298 4.753 0.534
14.361 0.947 1.339
12.710 2.224 2.787
10.148 4.746 4.903
5.781 0.678 4.587
4.921 6.664 1.786
5.346 4.168 6.903
6.965 2.872 8.347
9.479 6.044 2.787
2.475 2.844 1.786
13.177 3.141 5.099
2.752 6.713 4.783
8.890 2.582 5.089
5.903 5.057 4.597
0.431 6.692 8.347
5.313 1.595 6.899
9.446 3.472 2.783
7.083 6.634 8.166
3.902 6.706 9.151
3.494 2.886 9.151
1.615 4.498 4.586
14.480 4.825 1.520
7.827 4.767 1.339
2.050 0.348 6.904
1.493 1.237 4.597
2.083 5.415 6.899
10.890 0.933 0.535
7.709 1.005 1.520
0.313 2.814 8.166
13.299 6.402 5.089
4.644 2.894 4.783
12.742 7.292 2.782
2.399 6.712 1.565
12.040 0.926 4.903
9.796 4.747 8.120
4.997 2.892 1.565
9.871 0.975 7.900
12.393 0.927 8.121
12.318 4.795 7.900
0.450 2.925 3.153
14.287 1.053 6.609
1.628 4.764 9.636
4.539 6.709 6.791
10.253 0.931 2.895
5.740 4.811 9.577
7.846 0.894 6.532
6.947 6.745 3.153
3.743 4.763 3.164
3.653 0.943 3.164
13.136 6.648 0.109
9.053 2.828 0.109
9.024 6.696 0.049
7.902 4.873 6.609
1.656 0.991 9.577
11.936 4.751 2.895
5.768 0.944 9.637
2.857 2.889 6.791
6.891 2.766 3.077
11.049 2.876 6.522
14.343 4.714 6.532
0.506 6.586 3.077
13.164 2.876 0.050
11.140 6.696 6.523
2.101 0.258 5.423
11.066 0.946 8.773
8.958 4.767 2.233
9.497 3.562 4.263
1.562 6.693 7.452
5.835 2.873 7.453
13.231 0.947 2.233
5.236 1.687 5.419
5.296 4.077 5.423
12.632 2.132 4.267
3.726 6.693 0.913
11.123 4.766 8.773
2.160 5.507 5.419
12.692 7.382 4.263
9.556 5.952 4.266
3.670 2.873 0.913
```

- Energy relative to the elements: -1.626 eV/atom
- SG: P2_1/c, No. 14

---

[3]
Here is LaNi12B6 after structural relaxation from the Materials Project database. Energies are from meta-GGA r2SCAN.

```
LaNi12B6
1.0
-5.660 -1.911 -0.737
3.265 -5.035 0.468
-1.448 0.076 10.918
Ni B La
24 12 2
Cartesian
0.785 -2.722 0.815
-2.611 -0.627 7.716
-1.160 -6.247 2.394
-3.439 -2.907 7.824
-4.279 -5.282 7.956
-0.292 -0.488 0.898
-0.385 -3.964 2.683
0.396 -1.586 2.997
-3.070 -6.407 6.127
-2.778 -3.126 2.359
-3.527 -5.419 2.074
-1.046 -3.745 8.147
-0.844 -5.310 6.173
-0.245 -1.455 8.036
1.026 -4.173 4.972
-5.397 -2.670 9.663
-2.314 -5.001 4.172
0.139 -4.608 10.410
-1.902 -6.114 8.277
-1.963 -1.846 9.749
-4.510 -2.235 4.224
-4.085 -4.176 5.735
-2.455 -1.588 0.377
-1.981 -0.754 2.676
-0.175 -2.720 9.748
0.560 -4.074 6.918
1.113 -4.609 1.440
-2.851 -6.825 3.422
-1.245 -0.031 9.142
-2.558 -4.561 7.119
-3.845 -1.435 9.253
-0.368 -5.415 4.187
-4.007 -2.816 0.748
-4.560 -2.282 6.226
-1.049 -2.321 1.749
-4.037 -4.131 3.691
-1.599 -4.637 -0.179
-1.520 -2.271 5.370
```

- Energy relative to the elements: -0.404 eV/atom
- SG: Cmc2_1, No. 36